{
  "formula": "Mg5H10C4O18",
  "functional": "r2SCAN",
  "state": "relaxed",
  "lattice": [[10.015, 0.000, 0.000], [0.000, 9.027, 0.000], [-3.427, 0.000, 7.584]],
  "species": ["Mg", "Mg", "Mg", "Mg", "Mg", "Mg", "Mg", "Mg", "Mg", "Mg", "H", "H", "H", "H", "H", "H", "H", "H", "H", "H", "H", "H", "H", "H", "H", "H", "H", "H", "H", "H", "C", "C", "C", "C", "C", "C", "C", "C", "O", "O", "O", "O", "O", "O", "O", "O", "O", "O", "O", "O", "O", "O", "O", "O", "O", "O", "O", "O", "O", "O", "O", "O", "O", "O", "O", "O", "O", "O", "O", "O", "O", "O", "O", "O"],
  "frac_coords": [[0.000, 0.000, 0.000], [0.000, 0.500, 0.500], [0.345, 0.065, 0.991], [0.345, 0.435, 0.491], [0.346, 0.066, 0.361], [0.346, 0.434, 0.861], [0.654, 0.566, 0.139], [0.654, 0.934, 0.639], [0.655, 0.565, 0.509], [0.655, 0.935, 0.009], [0.137, 0.599, 0.869], [0.137, 0.901, 0.369], [0.147, 0.632, 0.305], [0.147, 0.868, 0.805], [0.233, 0.626, 0.621], [0.233, 0.874, 0.121], [0.239, 0.585, 0.077], [0.239, 0.915, 0.577], [0.304, 0.697, 0.358], [0.304, 0.803, 0.858], [0.696, 0.197, 0.142], [0.696, 0.303, 0.642], [0.761, 0.085, 0.423], [0.761, 0.415, 0.923], [0.767, 0.126, 0.879], [0.767, 0.374, 0.379], [0.853, 0.132, 0.195], [0.853, 0.368, 0.695], [0.863, 0.099, 0.631], [0.863, 0.401, 0.131], [0.081, 0.236, 0.775], [0.081, 0.264, 0.275], [0.474, 0.170, 0.737], [0.474, 0.330, 0.237], [0.526, 0.670, 0.763], [0.526, 0.830, 0.263], [0.919, 0.736, 0.725], [0.919, 0.764, 0.225], [0.005, 0.166, 0.164], [0.005, 0.334, 0.664], [0.014, 0.126, 0.806], [0.014, 0.374, 0.306], [0.223, 0.245, 0.855], [0.223, 0.255, 0.355], [0.225, 0.520, 0.618], [0.225, 0.980, 0.118], [0.238, 0.579, 0.960], [0.238, 0.921, 0.460], [0.244, 0.612, 0.300], [0.244, 0.888, 0.800], [0.432, 0.194, 0.218], [0.432, 0.306, 0.718], [0.494, 0.100, 0.881], [0.494, 0.400, 0.381], [0.499, 0.105, 0.614], [0.499, 0.395, 0.114], [0.501, 0.605, 0.886], [0.501, 0.895, 0.386], [0.506, 0.600, 0.619], [0.506, 0.900, 0.119], [0.568, 0.694, 0.282], [0.568, 0.806, 0.782], [0.756, 0.112, 0.200], [0.756, 0.388, 0.700], [0.762, 0.079, 0.540], [0.762, 0.421, 0.040], [0.775, 0.020, 0.882], [0.775, 0.480, 0.382], [0.777, 0.745, 0.645], [0.777, 0.755, 0.145], [0.986, 0.626, 0.694], [0.986, 0.874, 0.194], [0.995, 0.666, 0.336], [0.995, 0.834, 0.836]],
  "e_tot_ev_per_cell": -536.937,
  "formation_enthalpy_0k_mev_per_atom": -1777.7
}